Here is an optimized crystal structure of Ba3InHg10 from the Materials Project database. Energies are from GGA-PBE.

Total energy, eV per cell: -33.66
M_tot, Bohr magnetons per cell: 0.8
ΔH_f (0 K), eV per atom: -0.3773

abc: 5.3638 10.1400 15.5577
angles: 90.00 90.00 90.00
Last column: nearest neighbours and their distance in Å.
Space group Immm (No. 71)
Asymmetric unit:
Ba 0.0000 0.0000 0.0000 [2 per cell]  12 Hg 3.62-3.96
Ba 0.0000 0.0000 0.2989 [4 per cell]  14 Hg 3.58-3.78
In 0.0000 0.5000 0.0000 [2 per cell]  8 Hg 3.10-3.24
Hg 0.0000 0.1788 0.5000 [4 per cell]  2 Hg 3.09, 2 In 3.24
Hg 0.0000 0.2842 0.1413 [8 per cell]  3 Hg 3.05-3.14, 1 In 3.10
Hg 0.0000 0.3554 0.3378 [8 per cell]  5 Hg 2.93-3.14

=====

Here is an optimized crystal structure of BaB4Sb2O12 from the Materials Project database. Energies are from GGA-PBE.

Total energy, eV per cell: -550.55
M_tot, Bohr magnetons per cell: 0.0
ΔH_f (0 K), eV per atom: -2.6111

abc: 7.0594 11.9676 11.2725
angles: 90.00 102.87 90.00
Last column: nearest neighbours and their distance in Å.
Space group C2/c (No. 15)
Asymmetric unit:
Ba 0.0000 0.0341 0.2500 [4 per cell]  8 O 2.82-3.09
B 0.1171 0.4732 0.3923 [8 per cell]  3 O 1.37-1.40
B 0.1477 0.3287 0.1199 [8 per cell]  3 O 1.36-1.41
Sb 0.0000 0.3070 0.7500 [4 per cell]  6 O 1.98-2.02
Sb 0.2500 0.2500 0.5000 [4 per cell]  6 O 1.98-2.01
O 0.0291 0.2385 0.0876 [8 per cell]  1 B 1.36
O 0.0765 0.4381 0.1228 [8 per cell]  2 B 1.40-1.41
O 0.1534 0.1801 0.8433 [8 per cell]  1 B 1.38
O 0.1631 0.4231 0.8554 [8 per cell]  1 B 1.37
O 0.1962 0.3173 0.6500 [8 per cell]  2 Sb 1.98
O 0.2253 0.0939 0.5612 [8 per cell]  1 B 1.38

=====

Here is an optimized crystal structure of Ac3Cl from the Materials Project database. Energies are from GGA-PBE.

Total energy, eV per cell: -14.71
M_tot, Bohr magnetons per cell: 0.0
ΔH_f (0 K), eV per atom: -0.2777

abc: 5.4603 5.4603 5.4603
angles: 90.00 90.00 90.00
Last column: nearest neighbours and their distance in Å.
Space group Pm-3m (No. 221)
Asymmetric unit:
Ac 0.0000 0.0000 0.5000 [3 per cell]  4 Cl 3.86, 8 Ac 3.86
Cl 0.5000 0.5000 0.5000 [1 per cell]  12 Ac 3.86

=====

Here is an optimized crystal structure of Sm3InS6 from the Materials Project database. Energies are from GGA-PBE.

Total energy, eV per cell: -234.45
M_tot, Bohr magnetons per cell: 0.0
ΔH_f (0 K), eV per atom: -1.9905

abc: 13.7252 16.7603 3.9552
angles: 90.00 90.00 90.00
Last column: nearest neighbours and their distance in Å.
Space group P2_12_12 (No. 18)
Asymmetric unit:
Sm 0.0370 0.2217 0.2453 [4 per cell]  8 S 2.88-2.96
Sm 0.1903 0.6436 0.2467 [4 per cell]  7 S 2.80-2.96
Sm 0.2475 0.3904 0.2390 [4 per cell]  8 S 2.84-3.12
In 0.0000 0.0000 0.9044 [2 per cell]  4 S 2.47-2.53
In 0.0000 0.5000 0.7464 [2 per cell]  6 S 2.62-2.66
S 0.0203 0.3951 0.2462 [4 per cell]  2 In 2.66, 2 Sm 2.92-2.96
S 0.1032 0.9091 0.2688 [4 per cell]  1 In 2.53
S 0.1085 0.1113 0.7449 [4 per cell]  1 In 2.47
S 0.1139 0.7445 0.7479 [4 per cell]  5 Sm 2.80-3.10
S 0.1783 0.2824 0.7421 [4 per cell]  5 Sm 2.84-2.96, 1 S 3.02
S 0.1898 0.5180 0.7461 [4 per cell]  1 In 2.62, 2 Sm 2.89

=====

Here is an optimized crystal structure of La3Ni13B2 from the Materials Project database. Energies are from GGA-PBE.

Total energy, eV per cell: -219.93
M_tot, Bohr magnetons per cell: 2.0
ΔH_f (0 K), eV per atom: -0.3699

abc: 5.0741 8.7605 11.1082
angles: 90.00 90.00 90.00
Last column: nearest neighbours and their distance in Å.
Space group Cmmm (No. 65)
Asymmetric unit:
La 0.0000 0.0000 0.0000 [2 per cell]  6 B 2.92-2.93, 12 Ni 2.92-2.93
La 0.0000 0.0000 0.3283 [4 per cell]  12 Ni 2.92-3.17
Ni 0.0000 0.3328 0.3163 [8 per cell]  6 Ni 2.51-2.52
Ni 0.0000 0.5000 0.1317 [4 per cell]  2 B 2.06
Ni 0.0000 0.5000 0.5000 [2 per cell]  8 Ni 2.51-2.53
Ni 0.2500 0.2500 0.1318 [8 per cell]  2 B 2.07
Ni 0.2500 0.2500 0.5000 [4 per cell]  8 Ni 2.51-2.54
B 0.0000 0.3340 0.0000 [4 per cell]  6 Ni 2.06-2.07

=====

Here is an optimized crystal structure of Hf4Ni3As8 from the Materials Project database. Energies are from GGA-PBE.

Total energy, eV per cell: -104.48
M_tot, Bohr magnetons per cell: 0.0
ΔH_f (0 K), eV per atom: -0.6692

abc: 3.8333 3.8333 17.4361
angles: 90.00 90.00 90.00
Last column: nearest neighbours and their distance in Å.
Space group P-4m2 (No. 115)
Asymmetric unit:
Hf 0.0000 0.5000 0.1273 [2 per cell]  8 As 2.86-2.87, 2 Ni 2.93
Hf 0.0000 0.5000 0.6300 [2 per cell]  8 As 2.83-2.85, 4 Ni 2.97
Ni 0.0000 0.0000 0.0000 [1 per cell]  4 As 2.31
Ni 0.0000 0.0000 0.5000 [1 per cell]  4 As 2.40
Ni 0.5000 0.5000 0.5000 [1 per cell]  4 As 2.40
As 0.0000 0.0000 0.2491 [2 per cell]  4 As 2.71, 4 Hf 2.85-2.86
As 0.0000 0.5000 0.4175 [2 per cell]  4 Ni 2.40
As 0.0000 0.5000 0.9261 [2 per cell]  2 Ni 2.31
As 0.5000 0.5000 0.2490 [2 per cell]  4 As 2.71, 4 Hf 2.85-2.86

=====

Here is an optimized crystal structure of Sr3Y2N4 from the Materials Project database. Energies are from GGA-PBE.

Energy relative to the lowest polymorph listed for this composition, eV per formula unit: 0.65
Total energy, eV per cell: -235.11
M_tot, Bohr magnetons per cell: 0.0
ΔH_f (0 K), eV per atom: -0.9860

abc: 6.3580 12.4946 10.2331
angles: 90.00 90.00 90.00
Last column: nearest neighbours and their distance in Å.
Space group Pnna (No. 52)
Asymmetric unit:
Sr 0.1826 0.1727 0.1038 [8 per cell]  2 N 2.45-2.46
Sr 0.2500 0.0000 0.4377 [4 per cell]  2 N 2.59
Y 0.2315 0.2500 0.7500 [4 per cell]  4 N 2.23-2.36
Y 0.2500 0.0000 0.7904 [4 per cell]  4 N 2.28-2.32
N 0.0442 0.6154 0.8334 [8 per cell]  2 Y 2.32-2.36, 1 Sr 2.59
N 0.0613 0.1362 0.8807 [8 per cell]  2 Y 2.23-2.28, 2 Sr 2.45-2.46

=====

Here is an optimized crystal structure of PdPb from the Materials Project database. Energies are from GGA-PBE.

Total energy, eV per cell: -150.64
ΔH_f (0 K), eV per atom: -0.2612

abc: 5.6754 5.6853 21.9442
angles: 95.87 95.90 99.65
Last column: nearest neighbours and their distance in Å.
Space group P-1 (No. 2)
Asymmetric unit:
Pd 0.0226 0.2662 0.2077 [2 per cell]  3 Pd 2.89-3.10, 7 Pb 2.90-3.16
Pd 0.0954 0.8574 0.5444 [2 per cell]  6 Pb 2.85-2.98, 3 Pd 2.87-3.11
Pd 0.1433 0.3842 0.9578 [2 per cell]  3 Pd 2.87-3.09, 7 Pb 2.91-3.16
Pd 0.2634 0.5012 0.7083 [2 per cell]  3 Pd 2.86-3.09, 7 Pb 2.91-3.14
Pd 0.3176 0.5797 0.4581 [2 per cell]  3 Pd 2.87-3.11, 7 Pb 2.91-3.14
Pd 0.3285 0.0660 0.2944 [2 per cell]  6 Pb 2.85-2.99, 3 Pd 2.89-3.09
Pd 0.4341 0.6976 0.2061 [2 per cell]  3 Pd 2.86-3.10, 6 Pb 2.88-2.97
Pd 0.4460 0.1841 0.0439 [2 per cell]  6 Pb 2.87-2.97, 3 Pd 2.87-3.09
Pb 0.0578 0.8553 0.9297 [2 per cell]  6 Pd 2.87-3.16
Pb 0.0644 0.2658 0.8205 [2 per cell]  6 Pd 2.88-3.14
Pb 0.1783 0.9760 0.6801 [2 per cell]  6 Pd 2.85-3.16
Pb 0.1867 0.3913 0.5727 [2 per cell]  7 Pd 2.90-2.98
Pb 0.2621 0.5579 0.3229 [2 per cell]  7 Pd 2.90-2.99
Pb 0.3741 0.0785 0.4300 [2 per cell]  6 Pd 2.85-3.14
Pb 0.3825 0.6794 0.0725 [2 per cell]  7 Pd 2.90-2.97
Pb 0.4959 0.2002 0.1778 [2 per cell]  7 Pd 2.90-2.96

=====

Here is an optimized crystal structure of Li3Ti4O8 from the Materials Project database. Energies are from GGA-PBE.

Energy relative to the lowest polymorph listed for this composition, eV per formula unit: 0.23
Total energy, eV per cell: -234.10
M_tot, Bohr magnetons per cell: 0.1
ΔH_f (0 K), eV per atom: -3.0436

abc: 10.2195 5.8070 5.7995
angles: 90.00 124.50 90.00
Last column: nearest neighbours and their distance in Å.
Space group C2/m (No. 12)
Asymmetric unit:
Li 0.0000 0.0000 0.0000 [2 per cell]  6 O 2.02-2.06
Li 0.2500 0.2500 0.5000 [4 per cell]  6 O 2.03-2.17
Ti 0.0000 0.0000 0.5000 [2 per cell]  6 O 2.05-2.10
Ti 0.0000 0.5000 0.0000 [2 per cell]  6 O 2.05-2.11
Ti 0.2500 0.2500 0.0000 [4 per cell]  6 O 1.94-2.08
O 0.0040 0.2457 0.7581 [8 per cell]  2 Li 2.02-2.14, 3 Ti 2.05-2.07
O 0.2442 0.0000 0.2160 [4 per cell]  2 Ti 1.94, 3 Li 2.06-2.17
O 0.2499 0.0000 0.7442 [4 per cell]  2 Li 2.03, 4 Ti 2.08-2.11

=====

Here is an optimized crystal structure of Mg2PClO4 from the Materials Project database. Energies are from GGA-PBE.

Total energy, eV per cell: -200.35
M_tot, Bohr magnetons per cell: 0.0
ΔH_f (0 K), eV per atom: -2.8228

abc: 11.0679 8.0107 4.8650
angles: 90.00 90.00 90.00
Last column: nearest neighbours and their distance in Å.
Space group Pna2_1 (No. 33)
Asymmetric unit:
Mg 0.1217 0.0984 0.0000 [4 per cell]  4 O 2.03-2.12
Mg 0.1275 0.6633 0.0067 [4 per cell]  3 O 2.02-2.11
P 0.1664 0.8795 0.4523 [4 per cell]  4 O 1.55-1.57
Cl 0.0621 0.3780 0.2571 [4 per cell]  3 Mg 2.45-2.69
O 0.0421 0.8769 0.2963 [4 per cell]  1 P 1.57
O 0.1518 0.8804 0.7682 [4 per cell]  1 P 1.55
O 0.2296 0.0398 0.3467 [4 per cell]  1 P 1.55
O 0.2331 0.7217 0.3473 [4 per cell]  1 P 1.55

=====

Here is an optimized crystal structure of NdSm3Sb3 from the Materials Project database. Energies are from GGA-PBE.

Energy relative to the lowest polymorph listed for this composition, eV per formula unit: 0.00
Total energy, eV per cell: -154.68
ΔH_f (0 K), eV per atom: -1.1334

abc: 9.4199 13.3384 8.1525
angles: 90.00 125.29 90.00
Last column: nearest neighbours and their distance in Å.
Space group Cc (No. 9)
Asymmetric unit:
Nd 0.0000 0.0710 0.0000 [4 per cell]  6 Sb 3.15-3.41
Sm 0.0716 0.5002 0.3582 [4 per cell]  6 Sb 3.13-3.39
Sm 0.2498 0.1784 0.4999 [4 per cell]  6 Sb 3.13-3.40
Sm 0.4632 0.2503 0.1424 [4 per cell]  6 Sb 3.13-3.39
Sb 0.1325 0.3128 0.1246 [4 per cell]  6 Sm 3.13-3.39, 2 Nd 3.39-3.40
Sb 0.2610 0.0633 0.8762 [4 per cell]  6 Sm 3.13-3.40, 2 Nd 3.15
Sb 0.3187 0.3737 0.7493 [4 per cell]  6 Sm 3.13-3.40, 2 Nd 3.16-3.41

=====

Here is an optimized crystal structure of Li2SnPt from the Materials Project database. Energies are from GGA-PBE.

Total energy, eV per cell: -66.03
ΔH_f (0 K), eV per atom: -0.6521

abc: 6.3628 6.3628 6.3628
angles: 90.00 90.00 90.00
Last column: nearest neighbours and their distance in Å.
Space group F-43m (No. 216)
Asymmetric unit:
Li 0.0000 0.0000 0.0000 [4 per cell]  4 Li 2.76, 4 Pt 2.76
Li 0.2500 0.2500 0.2500 [4 per cell]  4 Sn 2.76, 4 Li 2.76
Sn 0.0000 0.0000 0.5000 [4 per cell]  4 Li 2.76, 4 Pt 2.76
Pt 0.2500 0.2500 0.7500 [4 per cell]  4 Sn 2.76, 4 Li 2.76

=====

Here is an optimized crystal structure of CaNb2P6O21 from the Materials Project database. Energies are from GGA-PBE.

Total energy, eV per cell: -920.20
ΔH_f (0 K), eV per atom: -2.8627

abc: 13.4890 10.7761 12.6115
angles: 90.00 96.11 90.00
Last column: nearest neighbours and their distance in Å.
Space group C2/m (No. 12)
Asymmetric unit:
Ca 0.2247 0.0000 0.1374 [4 per cell]  6 O 2.30-2.45
Nb 0.0000 0.2450 0.5000 [4 per cell]  6 O 1.97-2.01
Nb 0.2145 0.5000 0.1791 [4 per cell]  1 O 1.76
P 0.0597 0.2624 0.1027 [8 per cell]  4 O 1.48-1.62
P 0.1101 0.2402 0.7664 [8 per cell]  4 O 1.48-1.61
P 0.1405 0.0000 0.4100 [4 per cell]  4 O 1.49-1.61
P 0.1567 0.5000 0.4570 [4 per cell]  4 O 1.49-1.60
O 0.0000 0.3286 0.0000 [4 per cell]  2 P 1.62
O 0.0243 0.1957 0.8377 [8 per cell]  2 P 1.60-1.61
O 0.0565 0.2401 0.6502 [8 per cell]  1 P 1.56
O 0.0951 0.3821 0.4733 [8 per cell]  1 P 1.54
O 0.0989 0.1156 0.4649 [8 per cell]  1 P 1.56
O 0.1020 0.3690 0.1735 [8 per cell]  1 P 1.53
O 0.1279 0.0000 0.2915 [4 per cell]  1 P 1.49
O 0.1295 0.1670 0.0704 [8 per cell]  1 P 1.48
O 0.1517 0.3632 0.7993 [8 per cell]  1 P 1.48
O 0.1835 0.1316 0.7759 [8 per cell]  1 P 1.53
O 0.2011 0.5000 0.3539 [4 per cell]  1 P 1.49
O 0.2260 0.5000 0.0415 [4 per cell]  1 Nb 1.76
O 0.2409 0.5000 0.5561 [4 per cell]  2 P 1.60-1.61